# 1
Entry from Materials Project: crystalline Ho14Pb3S24 at its relaxed geometry (PBE-GGA).

a = 7.2714 Å, b = 7.2714 Å, c = 18.3632 Å
α = 97.49°, β = 97.52°, γ = 109.91°
Atoms (fractional coordinates):
1 Ho 0.0000 0.0000 0.0000
2 Ho 0.0101 0.2554 0.2640
3 Ho 0.0418 0.5502 0.0890
4 Ho 0.1415 0.8763 0.5149
5 Ho 0.3259 0.5828 0.9231
6 Ho 0.3401 0.3264 0.6808
7 Ho 0.3743 0.8941 0.7625
8 Ho 0.4675 0.2039 0.1745
9 Ho 0.5526 0.1662 0.9660
10 Ho 0.6717 0.6697 0.3399
11 Ho 0.6891 0.9184 0.6074
12 Ho 0.7097 0.2166 0.4294
13 Ho 0.8119 0.5354 0.8414
14 Ho 0.8805 0.5102 0.6379
15 Pb 0.2128 0.8344 0.3019
16 Pb 0.2994 0.4211 0.4716
17 Pb 0.6299 0.7514 0.1323
18 S 0.0754 0.9472 0.6659
19 S 0.0766 0.9663 0.1657
20 S 0.1399 0.5080 0.7656
21 S 0.1520 0.8731 0.8833
22 S 0.2931 0.6757 0.6043
23 S 0.3046 0.5264 0.2125
24 S 0.3292 0.3369 0.0450
25 S 0.3314 0.8505 0.0484
26 S 0.4227 0.2978 0.8383
27 S 0.4250 0.2904 0.3364
28 S 0.4809 0.8345 0.4382
29 S 0.4824 0.2066 0.5555
30 S 0.6344 0.0123 0.2675
31 S 0.6371 0.8703 0.8878
32 S 0.6629 0.6729 0.7161
33 S 0.6701 0.1923 0.7206
34 S 0.7518 0.6123 0.9996
35 S 0.7649 0.6209 0.5123
36 S 0.7889 0.1762 0.0916
37 S 0.8085 0.5251 0.2186
38 S 0.9616 0.3331 0.9380
39 S 0.9723 0.2078 0.5589
40 S 0.9869 0.5135 0.3853
41 S 0.9942 0.0157 0.3914

ρ ... 6.9 g cm⁻³
E ... -6.037 eV/atom
M_tot ... 0.00 μB per formula unit
Corrected total energy (MP2020 scheme) ... -6.332 eV/atom
Formation enthalpy at 0 K ... -85.04 eV per formula unit

=====

# 2
Entry from Materials Project: crystalline CaTi4S8 at its relaxed geometry (PBE-GGA).

a = 6.8638 Å, b = 6.8638 Å, c = 9.1043 Å
α = 124.14°, β = 124.14°, γ = 60.22°
Atoms (fractional coordinates):
1 Ca 0.0000 0.0000 0.0000
2 Ti 0.2563 0.2563 0.5074
3 Ti 0.2575 0.7425 0.5000
4 Ti 0.7425 0.2575 0.5000
5 Ti 0.7437 0.7437 0.4926
6 S 0.0167 0.0167 0.7029
7 S 0.0203 0.5209 0.7105
8 S 0.4783 0.4783 0.2896
9 S 0.4791 0.9797 0.2895
10 S 0.5209 0.0203 0.7105
11 S 0.5217 0.5217 0.7104
12 S 0.9797 0.4791 0.2895
13 S 0.9833 0.9833 0.2971

ρ ... 2.9 g cm⁻³
E ... -6.608 eV/atom
Corrected total energy (MP2020 scheme) ... -6.918 eV/atom
Formation enthalpy at 0 K ... -23.25 eV per formula unit